First-principles (r²SCAN) data for a relaxed structure of Rb2TmCl5, as listed in Materials Project.

Calculated values
Crystal system   orthorhombic
Total magnetic moment   0.0 μB per formula unit
VASP energy   -452.15 eV per cell
ΔE_f   -2411.5 meV/atom
SG   Pnma, No. 62

Unit cell a=7.287 b=9.328 c=14.690 alpha=90.00 beta=90.00 gamma=90.00
Fractional positions:
Cl  0.500  0.000  0.000
Cl  0.250  0.783  0.398
Rb  0.250  0.969  0.209
Cl  0.992  0.847  0.614
Tm  0.250  0.187  0.937
Tm  0.750  0.313  0.437
Rb  0.750  0.031  0.791
Rb  0.250  0.169  0.584
Cl  0.492  0.653  0.114
Cl  0.508  0.347  0.886
Rb  0.750  0.331  0.084
Cl  0.250  0.031  0.794
Rb  0.750  0.831  0.416
Cl  0.992  0.347  0.886
Rb  0.250  0.469  0.291
Cl  0.250  0.283  0.102
Cl  0.500  0.500  0.500
Cl  0.492  0.153  0.386
Cl  0.008  0.653  0.114
Cl  0.750  0.217  0.602
Tm  0.750  0.813  0.063
Cl  0.508  0.847  0.614
Cl  0.750  0.969  0.206
Tm  0.250  0.687  0.563
Rb  0.750  0.531  0.709
Cl  0.008  0.153  0.386
Rb  0.250  0.669  0.916
Cl  0.000  0.500  0.500
Cl  0.250  0.531  0.706
Cl  0.000  0.000  0.000
Cl  0.750  0.717  0.898
Cl  0.750  0.469  0.294